# 1
! La5Al4Br4 PBE relaxed; values from VASP
&SYSTEM
  ibrav = 0, nat = 26, ntyp = 3
/
ATOMIC_SPECIES
La 138.91 La.upf
Al 26.98 Al.upf
Br 79.90 Br.upf
ATOMIC_POSITIONS angstrom
La 5.512 1.348 -2.327
La 1.348 2.817 -2.327
La 0.000 0.000 5.083
La 5.512 1.348 2.327
La 1.348 2.817 2.327
La 2.817 1.348 7.838
La -1.348 2.817 7.838
La 0.000 0.000 15.248
La 2.817 1.348 12.492
La -1.348 2.817 12.492
Al 5.352 -1.187 4.476
Al 2.977 -1.187 5.689
Al 2.977 1.187 4.476
Al 5.352 1.187 5.689
Al -1.187 2.977 4.476
Al 1.187 2.977 5.689
Al 1.187 5.352 4.476
Al -1.187 5.352 5.689
Br 0.000 0.000 1.925
Br 2.965 1.200 0.000
Br 2.965 -1.200 10.165
Br 0.000 0.000 8.240
Br 0.000 0.000 12.090
Br 1.200 5.365 0.000
Br 1.200 2.965 10.165
Br 0.000 0.000 18.406
CELL_PARAMETERS angstrom
-4.165 4.165 10.165
4.165 -4.165 10.165
4.165 4.165 -10.165
! SG	I4/mcm
! energy of formation from the pure elements	-1.2718	eV/atom

=====

# 2
! La10Al5Br4 PBE relaxed; values from VASP
&SYSTEM
  ibrav = 0, nat = 38, ntyp = 3
/
ATOMIC_SPECIES
La 138.91 La.upf
Al 26.98 Al.upf
Br 79.90 Br.upf
ATOMIC_POSITIONS angstrom
La 2.746 -1.394 6.791
La 5.563 1.423 -2.387
La 5.533 -1.394 9.891
La 0.000 0.000 5.079
La 5.563 1.423 2.387
La 1.423 2.717 -2.387
La 0.000 0.000 11.603
La 5.533 1.394 6.791
La 1.423 2.717 2.387
La 2.746 1.394 9.891
La 1.394 2.746 6.791
La 2.717 1.423 14.295
La -1.394 2.746 9.891
La 0.000 0.000 21.761
La 2.717 1.423 19.069
La -1.423 2.717 14.295
La 0.000 0.000 28.285
La -1.394 5.533 6.791
La -1.423 2.717 19.069
La 1.394 5.533 9.891
Al 5.125 -0.986 4.502
Al 3.154 -0.986 12.180
Al 0.000 0.000 8.341
Al 3.154 0.986 4.502
Al 5.125 0.986 12.180
Al -0.986 3.154 4.502
Al 0.986 3.154 12.180
Al 0.000 0.000 25.023
Al 0.986 5.125 4.502
Al -0.986 5.125 12.180
Br 0.000 0.000 1.864
Br 2.963 1.177 0.000
Br 2.963 -1.177 16.682
Br 0.000 0.000 14.818
Br 0.000 0.000 18.546
Br 1.177 5.317 0.000
Br 1.177 2.963 16.682
Br 0.000 0.000 31.500
CELL_PARAMETERS angstrom
-4.140 4.140 16.682
4.140 -4.140 16.682
4.140 4.140 -16.682
! SG	I4/mcm
! energy of formation from the pure elements	-0.9207	eV/atom

=====

# 3
! LaAl3Br12 PBE relaxed; values from VASP
&SYSTEM
  ibrav = 0, nat = 48, ntyp = 3
/
ATOMIC_SPECIES
La 138.91 La.upf
Al 26.98 Al.upf
Br 79.90 Br.upf
ATOMIC_POSITIONS angstrom
La -3.923 6.795 3.188
La 1.456 2.522 9.564
La 7.846 0.000 15.940
Al -0.537 0.931 12.752
Al 1.075 0.000 6.376
Al -0.140 5.885 4.216
Al -0.213 6.495 16.968
Al 0.353 6.253 10.592
Al 5.166 2.821 14.912
Al 5.239 3.432 8.536
Al 5.731 3.063 2.160
Al 4.842 8.386 0.000
Br -0.949 2.189 14.676
Br -0.249 1.830 6.955
Br -2.246 5.448 5.305
Br -3.669 8.617 0.579
Br -2.359 6.675 16.245
Br 1.710 0.699 12.173
Br -3.008 9.044 8.300
Br -1.450 6.717 11.893
Br -0.305 4.885 8.742
Br 2.371 0.272 4.452
Br 0.286 4.702 18.270
Br 0.778 3.936 3.493
Br -0.996 7.138 2.366
Br 1.784 4.647 11.681
Br 3.020 2.642 15.636
Br 1.301 6.610 15.118
Br 1.163 7.213 5.517
Br 3.133 3.869 7.447
Br 0.462 8.538 18.057
Br 3.929 2.599 0.859
Br 4.383 2.179 10.386
Br 1.581 8.022 9.869
Br 5.841 0.779 13.824
Br 5.074 4.432 4.010
Br 6.960 1.294 2.883
Br 6.542 2.103 7.235
Br 3.958 7.400 1.924
Br 6.680 2.706 16.762
Br 5.665 4.614 13.611
Br 4.429 7.127 17.204
Br 3.919 8.186 13.331
Br 6.157 5.381 9.259
Br 5.130 7.486 5.797
Br 7.163 4.669 1.071
Br 9.298 1.131 18.549
Br 9.337 1.917 10.828
CELL_PARAMETERS angstrom
10.758 0.000 0.000
-5.379 9.317 0.000
0.000 0.000 19.128
! SG	P3_121
! energy of formation from the pure elements	-1.7696	eV/atom

=====

# 4
! LiAl2BrO6 PBE relaxed; values from VASP
&SYSTEM
  ibrav = 0, nat = 20, ntyp = 4
/
ATOMIC_SPECIES
Li 6.94 Li.upf
Al 26.98 Al.upf
Br 79.90 Br.upf
O 16.00 O.upf
ATOMIC_POSITIONS angstrom
Li 0.000 0.000 0.000
Li 0.000 0.000 5.213
Al 0.000 3.264 0.000
Al 0.000 3.264 5.213
Al 2.827 1.632 0.000
Al 2.827 1.632 5.213
Br 0.000 0.000 2.607
Br 0.000 0.000 7.820
O -1.176 2.036 0.722
O -1.176 2.036 4.491
O -1.651 2.859 5.936
O -1.651 2.859 9.704
O 2.352 0.000 0.722
O 2.352 0.000 4.491
O 1.176 2.036 5.936
O 1.176 2.036 9.704
O 3.302 0.000 5.936
O 3.302 0.000 9.704
O 1.651 2.859 0.722
O 1.651 2.859 4.491
CELL_PARAMETERS angstrom
5.653 0.000 0.000
-2.827 4.896 0.000
0.000 0.000 10.427
! SG	P6_3/mcm
! energy of formation from the pure elements	-1.7590	eV/atom

=====

# 5
! LiAl2BrO6 PBE relaxed; values from VASP
&SYSTEM
  ibrav = 0, nat = 20, ntyp = 4
/
ATOMIC_SPECIES
Li 6.94 Li.upf
Al 26.98 Al.upf
Br 79.90 Br.upf
O 16.00 O.upf
ATOMIC_POSITIONS angstrom
Li 0.000 0.000 0.000
Li 0.000 0.000 5.137
Al 3.183 0.000 0.000
Al 3.183 0.000 5.137
Al 6.541 0.000 0.000
Al 6.541 0.000 5.137
Br 4.862 2.674 7.706
Br 4.862 -2.674 2.569
O 2.000 1.168 0.741
O 2.000 1.168 4.397
O 7.724 -1.168 5.878
O 7.724 -1.168 9.534
O 2.000 -1.168 5.878
O 2.000 -1.168 9.534
O 4.862 0.413 0.705
O 4.862 0.413 4.433
O 4.862 -0.413 5.842
O 4.862 -0.413 9.570
O 7.724 1.168 0.741
O 7.724 1.168 4.397
CELL_PARAMETERS angstrom
4.862 -2.842 0.000
4.862 2.842 0.000
0.000 0.000 10.275
! SG	Cmcm
! energy of formation from the pure elements	-1.6264	eV/atom

=====

# 6
! Al2Br7N PBE relaxed; values from VASP
&SYSTEM
  ibrav = 0, nat = 40, ntyp = 3
/
ATOMIC_SPECIES
Al 26.98 Al.upf
Br 79.90 Br.upf
N 14.01 N.upf
ATOMIC_POSITIONS angstrom
Al 1.529 1.228 0.000
Al 2.335 5.763 3.078
Al 4.205 0.676 9.032
Al 5.011 6.315 5.954
Al 8.069 3.859 0.000
Al 8.875 9.498 3.078
Al 10.745 4.411 9.032
Al 11.551 8.947 5.954
Br 0.199 2.957 0.740
Br 0.336 6.720 2.448
Br 0.409 9.890 10.588
Br 2.094 3.830 4.301
Br 2.638 0.211 1.740
Br 2.788 0.472 7.233
Br 3.211 2.366 10.525
Br 3.329 7.453 4.571
Br 3.752 5.559 1.279
Br 3.902 5.298 7.694
Br 4.446 8.917 10.255
Br 6.131 4.803 4.634
Br 6.204 1.633 8.402
Br 6.341 8.044 6.694
Br 6.739 2.130 0.740
Br 6.876 8.542 2.448
Br 6.950 5.371 10.588
Br 8.634 1.257 4.301
Br 9.178 4.876 1.740
Br 9.328 4.615 7.233
Br 9.751 2.721 10.525
Br 9.869 7.808 4.571
Br 10.292 9.702 1.279
Br 10.442 9.963 7.694
Br 10.986 6.344 10.255
Br 12.671 0.284 4.634
Br 12.745 3.454 8.402
Br 12.881 7.217 6.694
N 1.598 6.513 10.072
N 4.942 1.426 4.118
N 8.138 8.748 10.072
N 11.482 3.661 4.118
CELL_PARAMETERS angstrom
13.080 0.000 0.000
0.000 10.174 0.000
0.000 0.000 11.908
! SG	Pna2_1
! energy of formation from the pure elements	-0.1989	eV/atom

=====

no.,MP2020-corrected energy (eV for the cell shown)
1,-125.488
2,-184.257
3,-192.388
4,-116.630
5,-113.978
6,-117.101